## one
First-principles (PBE+U) data for a geometry-optimized Li3Fe3CuO8 structure, as listed in the Materials Project database.

Cell: 10.2344 5.5754 5.7514 Å, 90.00 122.90 90.00°
Space group C2/m (No. 12)
Unique sites:
Li1 0.0000 0.0000 0.0000 (multiplicity 2)
Li2 0.2500 0.2500 0.0000 (multiplicity 4)
Fe1 0.0000 0.5000 0.5000 (multiplicity 2)
Fe2 0.2500 0.2500 0.5000 (multiplicity 4)
Cu1 0.0000 0.0000 0.5000 (multiplicity 2)
O1 0.0245 0.2543 0.2978 (multiplicity 8)
O2 0.2409 0.0000 0.2556 (multiplicity 4)
O3 0.2469 0.5000 0.2716 (multiplicity 4)

ρ, g cm⁻³: 4.579
Calculated volume, Å³/atom: 9.18
Total magnetization, μB/cell: 27.99

## two
First-principles (PBE+U) data for a geometry-optimized Li3Fe3CuO8 structure, as listed in the Materials Project database.

Cell: 5.9185 5.9185 14.6893 Å, 90.00 90.00 120.00°
Space group R-3m (No. 166, hexagonal axes)
Unique sites:
Li1 0.0000 0.5000 0.0000 (multiplicity 9)
Fe1 0.0000 0.5000 0.5000 (multiplicity 9)
Cu1 0.0000 0.0000 0.5000 (multiplicity 3)
O1 0.0000 0.0000 0.2423 (multiplicity 6)
O2 0.0057 0.5029 0.2412 (multiplicity 18)

ρ, g cm⁻³: 4.247
Calculated volume, Å³/atom: 9.90
Total magnetization, μB/cell: 42.28

Most stable of them? two.

## one
First-principles (PBE+U) data for a geometry-optimized MgFeCuO2 structure, as listed in the Materials Project database.

Cell: 3.1364 3.1403 7.7277 Å, 100.47 91.59 118.79°
Space group P1 (No. 1)
Unique sites:
Mg1 0.0000 0.0000 0.0000 (multiplicity 1)
Fe1 0.7734 0.5616 0.3305 (multiplicity 1)
Cu1 0.2340 0.4650 0.6946 (multiplicity 1)
O1 0.1459 0.2997 0.4409 (multiplicity 1)
O2 0.3797 0.7331 0.1145 (multiplicity 1)

ρ, g cm⁻³: 4.488
Calculated volume, Å³/atom: 13.00
Total magnetization, μB/cell: 3.92

## two
First-principles (PBE+U) data for a geometry-optimized MgFeCuO2 structure, as listed in the Materials Project database.

Cell: 5.4062 3.1364 7.9035 Å, 90.00 103.78 90.00°
Space group Cm (No. 8)
Unique sites:
Mg1 0.0000 0.0000 0.0000 (multiplicity 2)
Fe1 0.1083 0.0000 0.3421 (multiplicity 2)
Cu1 0.0653 0.5000 0.7018 (multiplicity 2)
O1 0.2069 0.5000 0.1186 (multiplicity 2)
O2 0.4803 0.0000 0.4524 (multiplicity 2)

ρ, g cm⁻³: 4.483
Calculated volume, Å³/atom: 13.02
Total magnetization, μB/cell: 7.81

Most stable of them? one.

## one
First-principles (PBE+U) data for a geometry-optimized Mg14FeCuO16 structure, as listed in the Materials Project database.

Cell: 4.2400 8.5386 8.5666 Å, 90.00 90.00 90.00°
Space group Pmmm (No. 47)
Unique sites:
Mg1 0.0000 0.0000 0.0000 (multiplicity 1)
Mg2 0.0000 0.0000 0.5000 (multiplicity 1)
Mg3 0.0000 0.2499 0.2483 (multiplicity 4)
Mg4 0.5000 0.0000 0.2495 (multiplicity 2)
Mg5 0.5000 0.2493 0.5000 (multiplicity 2)
Mg6 0.5000 0.2512 0.0000 (multiplicity 2)
Mg7 0.5000 0.5000 0.2474 (multiplicity 2)
Fe1 0.0000 0.5000 0.5000 (multiplicity 1)
Cu1 0.0000 0.5000 0.0000 (multiplicity 1)
O1 0.0000 0.0000 0.2500 (multiplicity 2)
O2 0.0000 0.2453 0.0000 (multiplicity 2)
O3 0.0000 0.2452 0.5000 (multiplicity 2)
O4 0.0000 0.5000 0.2607 (multiplicity 2)
O5 0.5000 0.0000 0.0000 (multiplicity 1)
O6 0.5000 0.0000 0.5000 (multiplicity 1)
O7 0.5000 0.2512 0.2497 (multiplicity 4)
O8 0.5000 0.5000 0.0000 (multiplicity 1)
O9 0.5000 0.5000 0.5000 (multiplicity 1)

ρ, g cm⁻³: 3.832
Calculated volume, Å³/atom: 9.69
Total magnetization, μB/cell: 4.21

## two
First-principles (PBE+U) data for a geometry-optimized Mg14FeCuO16 structure, as listed in the Materials Project database.

Cell: 8.5704 8.5704 4.2481 Å, 90.00 90.00 90.00°
Space group P4/mmm (No. 123)
Unique sites:
Mg1 0.0000 0.2472 0.0000 (multiplicity 4)
Mg2 0.0000 0.5000 0.5000 (multiplicity 2)
Mg3 0.2454 0.2454 0.5000 (multiplicity 4)
Mg4 0.2466 0.5000 0.0000 (multiplicity 4)
Fe1 0.5000 0.5000 0.5000 (multiplicity 1)
Cu1 0.0000 0.0000 0.5000 (multiplicity 1)
O1 0.0000 0.0000 0.0000 (multiplicity 1)
O2 0.0000 0.2628 0.5000 (multiplicity 4)
O3 0.0000 0.5000 0.0000 (multiplicity 2)
O4 0.2506 0.2506 0.0000 (multiplicity 4)
O5 0.2553 0.5000 0.5000 (multiplicity 4)
O6 0.5000 0.5000 0.0000 (multiplicity 1)

ρ, g cm⁻³: 3.808
Calculated volume, Å³/atom: 9.75
Total magnetization, μB/cell: 4.60

Most stable of them? one.

## one
First-principles (PBE+U) data for a geometry-optimized Fe9Cu3O16 structure, as listed in the Materials Project database.

Cell: 5.8570 5.8792 8.3393 Å, 90.00 90.00 90.00°
Space group Pmm2 (No. 25)
Unique sites:
Fe1 0.0000 0.0000 0.0000 (multiplicity 1)
Fe2 0.0000 0.2526 0.3800 (multiplicity 2)
Fe3 0.2502 0.0000 0.6284 (multiplicity 2)
Fe4 0.2545 0.5000 0.1251 (multiplicity 2)
Fe5 0.5000 0.2550 0.8784 (multiplicity 2)
Cu1 0.0000 0.5000 0.7496 (multiplicity 1)
Cu2 0.5000 0.0000 0.2559 (multiplicity 1)
Cu3 0.5000 0.5000 0.5042 (multiplicity 1)
O1 0.0000 0.2218 0.6137 (multiplicity 2)
O2 0.0000 0.2696 0.1306 (multiplicity 2)
O3 0.2269 0.5000 0.3591 (multiplicity 2)
O4 0.2284 0.0000 0.3939 (multiplicity 2)
O5 0.2701 0.0000 0.8689 (multiplicity 2)
O6 0.2785 0.5000 0.8901 (multiplicity 2)
O7 0.5000 0.2263 0.6447 (multiplicity 2)
O8 0.5000 0.2741 0.1118 (multiplicity 2)

ρ, g cm⁻³: 5.489
Calculated volume, Å³/atom: 10.26
Total magnetization, μB/cell: 43.00

## two
First-principles (PBE+U) data for a geometry-optimized Fe9Cu3O16 structure, as listed in the Materials Project database.

Cell: 6.0196 6.0580 8.5182 Å, 90.41 90.81 90.59°
Space group P-1 (No. 2)
Unique sites:
Fe1 0.0000 0.0000 0.0000 (multiplicity 1)
Fe2 0.0000 0.5000 0.0000 (multiplicity 1)
Fe3 0.0090 0.2449 0.6258 (multiplicity 2)
Fe4 0.2512 0.7467 0.7465 (multiplicity 2)
Fe5 0.4924 0.2533 0.8720 (multiplicity 2)
Fe6 0.5000 0.0000 0.5000 (multiplicity 1)
Cu1 0.2508 0.2527 0.2526 (multiplicity 2)
Cu2 0.5000 0.5000 0.5000 (multiplicity 1)
O1 0.0080 0.9874 0.7614 (multiplicity 2)
O2 0.0099 0.5076 0.7597 (multiplicity 2)
O3 0.2304 0.2511 0.0027 (multiplicity 2)
O4 0.2341 0.7513 0.9932 (multiplicity 2)
O5 0.2548 0.7619 0.5085 (multiplicity 2)
O6 0.2662 0.2446 0.4974 (multiplicity 2)
O7 0.4905 0.9913 0.7415 (multiplicity 2)
O8 0.4920 0.5140 0.7508 (multiplicity 2)

ρ, g cm⁻³: 5.075
Calculated volume, Å³/atom: 11.09
Total magnetization, μB/cell: 43.00

Most stable of them? two.

## one
First-principles (PBE+U) data for a geometry-optimized Fe13Cu5O24 structure, as listed in the Materials Project database.

Cell: 6.0104 6.0678 13.3510 Å, 102.75 102.11 91.61°
Space group P1 (No. 1)
Unique sites:
Fe1 0.0000 0.0000 0.0000 (multiplicity 1)
Fe2 0.0010 0.0026 0.4964 (multiplicity 1)
Fe3 0.0052 0.5001 0.4995 (multiplicity 1)
Fe4 0.1316 0.8786 0.7446 (multiplicity 1)
Fe5 0.2039 0.4717 0.9169 (multiplicity 1)
Fe6 0.3330 0.3329 0.1638 (multiplicity 1)
Fe7 0.4631 0.1928 0.4106 (multiplicity 1)
Fe8 0.5359 0.7874 0.5831 (multiplicity 1)
Fe9 0.6628 0.1654 0.8291 (multiplicity 1)
Fe10 0.6659 0.6623 0.8313 (multiplicity 1)
Fe11 0.6675 0.6652 0.3275 (multiplicity 1)
Fe12 0.8106 0.5270 0.0803 (multiplicity 1)
Fe13 0.8561 0.1388 0.2476 (multiplicity 1)
Cu1 0.1675 0.6679 0.3299 (multiplicity 1)
Cu2 0.3336 0.8322 0.1631 (multiplicity 1)
Cu3 0.3349 0.3322 0.6642 (multiplicity 1)
Cu4 0.4993 0.9969 0.9977 (multiplicity 1)
Cu5 0.8332 0.3330 0.6643 (multiplicity 1)
O1 0.0729 0.1061 0.1589 (multiplicity 1)
O2 0.0814 0.0925 0.6572 (multiplicity 1)
O3 0.1010 0.5844 0.6570 (multiplicity 1)
O4 0.1118 0.5874 0.1708 (multiplicity 1)
O5 0.2243 0.2505 0.4864 (multiplicity 1)
O6 0.2270 0.2588 0.0046 (multiplicity 1)
O7 0.2301 0.7537 0.4908 (multiplicity 1)
O8 0.2489 0.7763 0.0019 (multiplicity 1)
O9 0.4176 0.8874 0.3250 (multiplicity 1)
O10 0.4373 0.9113 0.8376 (multiplicity 1)
O11 0.4404 0.4058 0.3226 (multiplicity 1)
O12 0.4443 0.4165 0.8415 (multiplicity 1)
O13 0.5542 0.0780 0.1563 (multiplicity 1)
O14 0.5656 0.0845 0.6714 (multiplicity 1)
O15 0.5863 0.5733 0.6711 (multiplicity 1)
O16 0.5948 0.5597 0.1686 (multiplicity 1)
O17 0.7471 0.2207 0.9903 (multiplicity 1)
O18 0.7645 0.7424 0.4932 (multiplicity 1)
O19 0.7695 0.2511 0.5027 (multiplicity 1)
O20 0.7756 0.7417 0.9916 (multiplicity 1)
O21 0.8912 0.9244 0.3360 (multiplicity 1)
O22 0.8981 0.4153 0.8246 (multiplicity 1)
O23 0.9028 0.9223 0.8350 (multiplicity 1)
O24 0.9201 0.4440 0.3382 (multiplicity 1)

ρ, g cm⁻³: 5.121
Calculated volume, Å³/atom: 11.02
Total magnetization, μB/cell: 61.00

## two
First-principles (PBE+U) data for a geometry-optimized Fe13Cu5O24 structure, as listed in the Materials Project database.

Cell: 5.8491 5.9139 13.0632 Å, 102.14 102.41 92.12°
Space group P1 (No. 1)
Unique sites:
Fe1 0.0000 0.0000 0.0000 (multiplicity 1)
Fe2 0.0031 0.5053 0.5050 (multiplicity 1)
Fe3 0.1152 0.8967 0.7523 (multiplicity 1)
Fe4 0.1761 0.6646 0.3428 (multiplicity 1)
Fe5 0.2266 0.4526 0.9168 (multiplicity 1)
Fe6 0.4479 0.2199 0.4254 (multiplicity 1)
Fe7 0.5003 0.0040 0.9976 (multiplicity 1)
Fe8 0.5654 0.7724 0.5881 (multiplicity 1)
Fe9 0.6680 0.6713 0.3337 (multiplicity 1)
Fe10 0.6771 0.1635 0.8349 (multiplicity 1)
Fe11 0.8088 0.5523 0.0890 (multiplicity 1)
Fe12 0.8394 0.3346 0.6697 (multiplicity 1)
Fe13 0.8778 0.1166 0.2473 (multiplicity 1)
Cu1 0.0065 0.0056 0.5024 (multiplicity 1)
Cu2 0.3390 0.3349 0.6711 (multiplicity 1)
Cu3 0.3387 0.8362 0.1699 (multiplicity 1)
Cu4 0.3402 0.3343 0.1699 (multiplicity 1)
Cu5 0.6728 0.6642 0.8371 (multiplicity 1)
O1 0.0555 0.5842 0.6600 (multiplicity 1)
O2 0.0747 0.1133 0.6624 (multiplicity 1)
O3 0.0810 0.0584 0.1529 (multiplicity 1)
O4 0.1074 0.5857 0.1849 (multiplicity 1)
O5 0.2238 0.2717 0.5096 (multiplicity 1)
O6 0.2429 0.7820 0.9904 (multiplicity 1)
O7 0.2502 0.7194 0.4972 (multiplicity 1)
O8 0.2557 0.2242 0.0033 (multiplicity 1)
O9 0.4045 0.4338 0.3347 (multiplicity 1)
O10 0.4150 0.9000 0.3489 (multiplicity 1)
O11 0.4302 0.9512 0.8434 (multiplicity 1)
O12 0.4561 0.3995 0.8340 (multiplicity 1)
O13 0.5720 0.0843 0.1551 (multiplicity 1)
O14 0.5866 0.6059 0.1729 (multiplicity 1)
O15 0.6040 0.5552 0.6778 (multiplicity 1)
O16 0.6241 0.0859 0.6808 (multiplicity 1)
O17 0.7428 0.7773 0.9968 (multiplicity 1)
O18 0.7582 0.2288 0.9948 (multiplicity 1)
O19 0.7580 0.2863 0.5147 (multiplicity 1)
O20 0.7862 0.7416 0.4986 (multiplicity 1)
O21 0.8979 0.9311 0.8448 (multiplicity 1)
O22 0.9219 0.3832 0.8247 (multiplicity 1)
O23 0.9332 0.4317 0.3461 (multiplicity 1)
O24 0.9488 0.9005 0.3426 (multiplicity 1)

ρ, g cm⁻³: 5.515
Calculated volume, Å³/atom: 10.23
Total magnetization, μB/cell: 61.00

Most stable of them? one.